(1)
# Li4MnCo2O7

A geometry-optimized Li4MnCo2O7 structure (PBE with a Hubbard U, the Materials Project).

Energy above the most stable polymorph in this dataset in meV per atom: 101

abc: 15.458 2.932 12.852
angles: 90.00 118.24 90.00
Space group C2/m (No. 12)
Unique sites:
Li  0.000  0.000  0.000 [2 per cell]
Li  0.000  0.500  0.500 [2 per cell]
Li  0.058  0.000  0.344 [4 per cell]
Li  0.132  0.500  0.194 [4 per cell]
Li  0.211  0.000  0.063 [4 per cell]
Mn  0.214  0.500  0.573 [4 per cell]
Co  0.066  0.500  0.870 [4 per cell]
Co  0.141  0.000  0.725 [4 per cell]
O  0.032  0.000  0.180 [4 per cell]
O  0.041  0.500  0.675 [4 per cell]
O  0.109  0.500  0.027 [4 per cell]
O  0.122  0.000  0.539 [4 per cell]
O  0.174  0.000  0.881 [4 per cell]
O  0.193  0.500  0.406 [4 per cell]
O  0.241  0.500  0.731 [4 per cell]

---

(2)
# Li2Mn3CoO8

A geometry-optimized Li2Mn3CoO8 structure (PBE with a Hubbard U, the Materials Project).

Piezoelectric modulus e_max in C/m2: 0.3
Energy above the most stable polymorph in this dataset in meV per atom: 30

abc: 5.8615 5.8615 14.4186
angles: 90.00 90.00 120.00
Space group R3m (No. 160, hexagonal axes)
Unique sites:
Li  0.0000  0.0000  0.0000 [3 per cell]
Li  0.0000  0.0000  0.3824 [3 per cell]
Mn  0.0046  0.5023  0.8844 [9 per cell]
Co  0.0000  0.0000  0.7665 [3 per cell]
O  0.0000  0.0000  0.1454 [3 per cell]
O  0.0000  0.0000  0.6239 [3 per cell]
O  0.0286  0.5143  0.1437 [9 per cell]
O  0.1807  0.3615  0.9543 [9 per cell]

---

(3)
# Li4MnCo2O7

A geometry-optimized Li4MnCo2O7 structure (PBE with a Hubbard U, the Materials Project).

Energy above the most stable polymorph in this dataset in meV per atom: 18

abc: 21.056 2.924 8.365
angles: 90.00 101.64 90.00
Space group C2/m (No. 12)
Unique sites:
Li  0.000  0.000  0.000 [2 per cell]
Li  0.000  0.000  0.500 [2 per cell]
Li  0.071  0.500  0.301 [4 per cell]
Li  0.140  0.000  0.570 [4 per cell]
Li  0.215  0.500  0.855 [4 per cell]
Mn  0.070  0.500  0.774 [4 per cell]
Co  0.142  0.000  0.070 [4 per cell]
Co  0.213  0.500  0.357 [4 per cell]
O  0.008  0.000  0.756 [4 per cell]
O  0.072  0.500  0.558 [4 per cell]
O  0.076  0.500  0.022 [4 per cell]
O  0.135  0.000  0.820 [4 per cell]
O  0.145  0.000  0.318 [4 per cell]
O  0.209  0.500  0.107 [4 per cell]
O  0.221  0.500  0.607 [4 per cell]

---

(4)
# Li4MnCo2O7

A geometry-optimized Li4MnCo2O7 structure (PBE with a Hubbard U, the Materials Project).

Energy above the most stable polymorph in this dataset in meV per atom: 76

abc: 3.017 7.783 11.131
angles: 79.74 83.09 82.67
Space group P1 (No. 1)
Unique sites:
Li  0.000  0.000  0.000 [1 per cell]
Li  0.072  0.214  0.644 [1 per cell]
Li  0.147  0.428  0.289 [1 per cell]
Li  0.280  0.856  0.577 [1 per cell]
Li  0.434  0.283  0.851 [1 per cell]
Li  0.572  0.716  0.141 [1 per cell]
Li  0.710  0.147  0.433 [1 per cell]
Li  0.862  0.572  0.712 [1 per cell]
Mn  0.786  0.356  0.071 [1 per cell]
Mn  0.930  0.785  0.360 [1 per cell]
Co  0.211  0.647  0.925 [1 per cell]
Co  0.356  0.072  0.216 [1 per cell]
Co  0.511  0.486  0.507 [1 per cell]
Co  0.637  0.943  0.782 [1 per cell]
O  0.024  0.094  0.819 [1 per cell]
O  0.124  0.335  0.469 [1 per cell]
O  0.150  0.540  0.098 [1 per cell]
O  0.269  0.757  0.760 [1 per cell]
O  0.300  0.964  0.386 [1 per cell]
O  0.414  0.179  0.046 [1 per cell]
O  0.462  0.406  0.663 [1 per cell]
O  0.557  0.604  0.337 [1 per cell]
O  0.623  0.824  0.950 [1 per cell]
O  0.682  0.021  0.625 [1 per cell]
O  0.729  0.244  0.243 [1 per cell]
O  0.809  0.466  0.899 [1 per cell]
O  0.879  0.671  0.529 [1 per cell]
O  0.992  0.897  0.188 [1 per cell]

---

(5)
# Li7Mn2Co3O12

A geometry-optimized Li7Mn2Co3O12 structure (PBE with a Hubbard U, the Materials Project).

Energy above the most stable polymorph in this dataset in meV per atom: 78

abc: 2.981 7.605 10.142
angles: 72.83 88.76 80.79
Space group P1 (No. 1)
Unique sites:
Li  0.000  0.000  0.000 [1 per cell]
Li  0.008  0.993  0.497 [1 per cell]
Li  0.177  0.658  0.255 [1 per cell]
Li  0.318  0.343  0.491 [1 per cell]
Li  0.339  0.328  0.995 [1 per cell]
Li  0.657  0.668  0.000 [1 per cell]
Li  0.666  0.663  0.486 [1 per cell]
Mn  0.501  0.998  0.747 [1 per cell]
Mn  0.828  0.338  0.246 [1 per cell]
Co  0.172  0.660  0.747 [1 per cell]
Co  0.501  0.987  0.242 [1 per cell]
Co  0.826  0.333  0.746 [1 per cell]
O  0.096  0.852  0.359 [1 per cell]
O  0.120  0.825  0.866 [1 per cell]
O  0.211  0.498  0.631 [1 per cell]
O  0.278  0.475  0.137 [1 per cell]
O  0.393  0.176  0.348 [1 per cell]
O  0.443  0.169  0.860 [1 per cell]
O  0.565  0.851  0.129 [1 per cell]
O  0.589  0.833  0.631 [1 per cell]
O  0.742  0.496  0.860 [1 per cell]
O  0.762  0.482  0.364 [1 per cell]
O  0.886  0.167  0.632 [1 per cell]
O  0.891  0.160  0.136 [1 per cell]

---

(6)
# Li7Mn2Co3O12

A geometry-optimized Li7Mn2Co3O12 structure (PBE with a Hubbard U, the Materials Project).

Energy above the most stable polymorph in this dataset in meV per atom: 161

abc: 2.926 5.117 14.666
angles: 81.08 84.61 89.76
Space group P-1 (No. 2)
Unique sites:
Li  0.000  0.000  0.000 [1 per cell]
Li  0.086  0.413  0.843 [2 per cell]
Li  0.250  0.256  0.499 [2 per cell]
Li  0.421  0.076  0.157 [2 per cell]
Mn  0.168  0.834  0.668 [2 per cell]
Co  0.334  0.666  0.331 [2 per cell]
Co  0.500  0.500  0.000 [1 per cell]
O  0.045  0.688  0.926 [2 per cell]
O  0.129  0.109  0.746 [2 per cell]
O  0.204  0.557  0.590 [2 per cell]
O  0.298  0.986  0.408 [2 per cell]
O  0.367  0.343  0.257 [2 per cell]
O  0.464  0.753  0.074 [2 per cell]